Entry 1:
VASP calculation (GGA-PBE) on a relaxed structure of Ce3UO8.

Spin magnetization ... 0.031 μB/atom
Energy of formation ... -3.938 eV/atom
E_tot ... -110.43 eV per cell

CIF file:
```
data_Ce3UO8
_chemical_formula_sum 'Ce3 U1 O8'
_symmetry_space_group_name_H-M 'P 1'
_symmetry_Int_Tables_number 1
_symmetry_space_group_name_Hall 'P 1'
_cell_length_a 12.7418
_cell_length_b 12.7418
_cell_length_c 12.7418
_cell_angle_alpha 17.51
_cell_angle_beta 17.51
_cell_angle_gamma 17.51
loop_
_atom_site_label
_atom_site_fract_x
_atom_site_fract_y
_atom_site_fract_z
Ce1 0.0000 0.0000 0.0000
Ce2 0.2500 0.2500 0.2500
Ce3 0.7500 0.7500 0.7500
U1 0.5000 0.5000 0.5000
O1 0.0648 0.0648 0.0648
O2 0.1841 0.1841 0.1841
O3 0.3116 0.3116 0.3116
O4 0.4429 0.4429 0.4429
O5 0.5571 0.5571 0.5571
O6 0.6884 0.6884 0.6884
O7 0.8159 0.8159 0.8159
O8 0.9352 0.9352 0.9352
```


Entry 2:
VASP calculation (GGA-PBE) on a relaxed structure of Ba5P3O12F.

Spin magnetization ... 0.000 μB/atom
Energy of formation ... -3.385 eV/atom
E_tot ... -299.00 eV per cell

CIF file:
```
data_Ba5P3O12F
_chemical_formula_sum 'Ba10 P6 O24 F2'
_symmetry_space_group_name_H-M 'P 1'
_symmetry_Int_Tables_number 1
_symmetry_space_group_name_Hall 'P 1'
_cell_length_a 10.3653
_cell_length_b 10.3653
_cell_length_c 7.7926
_cell_angle_alpha 90.00
_cell_angle_beta 90.00
_cell_angle_gamma 120.00
loop_
_atom_site_label
_atom_site_fract_x
_atom_site_fract_y
_atom_site_fract_z
Ba1 0.0127 0.2552 0.2500
Ba2 0.2425 0.9873 0.2500
Ba3 0.2552 0.2425 0.7500
Ba4 0.3333 0.6667 0.5007
Ba5 0.3333 0.6667 0.9993
Ba6 0.6667 0.3333 0.0007
Ba7 0.6667 0.3333 0.4993
Ba8 0.7448 0.7575 0.2500
Ba9 0.7575 0.0127 0.7500
Ba10 0.9873 0.7448 0.7500
P1 0.0307 0.3988 0.7500
P2 0.3681 0.9693 0.7500
P3 0.3988 0.3681 0.2500
P4 0.6012 0.6319 0.7500
P5 0.6319 0.0307 0.2500
P6 0.9693 0.6012 0.2500
O1 0.0797 0.3463 0.5872
O2 0.0797 0.3463 0.9128
O3 0.1138 0.5728 0.7500
O4 0.1415 0.6665 0.2500
O5 0.2666 0.9203 0.5872
O6 0.2666 0.9203 0.9128
O7 0.3335 0.4750 0.2500
O8 0.3463 0.2666 0.0872
O9 0.3463 0.2666 0.4128
O10 0.4272 0.5409 0.7500
O11 0.4591 0.8862 0.7500
O12 0.4750 0.1415 0.7500
O13 0.5250 0.8585 0.2500
O14 0.5409 0.1138 0.2500
O15 0.5728 0.4591 0.2500
O16 0.6537 0.7334 0.5872
O17 0.6537 0.7334 0.9128
O18 0.6665 0.5250 0.7500
O19 0.7334 0.0797 0.0872
O20 0.7334 0.0797 0.4128
O21 0.8585 0.3335 0.7500
O22 0.8862 0.4272 0.2500
O23 0.9203 0.6537 0.0872
O24 0.9203 0.6537 0.4128
F1 0.0000 0.0000 0.2500
F2 0.0000 0.0000 0.7500
```


Entry 3:
VASP calculation (GGA-PBE) on a relaxed structure of PuPb3.

Spin magnetization ... 1.472 μB/atom
Energy of formation ... -0.170 eV/atom
E_tot ... -26.09 eV per cell

CIF file:
```
data_PuPb3
_chemical_formula_sum 'Pu1 Pb3'
_symmetry_space_group_name_H-M 'P 1'
_symmetry_Int_Tables_number 1
_symmetry_space_group_name_Hall 'P 1'
_cell_length_a 4.8121
_cell_length_b 4.8121
_cell_length_c 4.8121
_cell_angle_alpha 90.00
_cell_angle_beta 90.00
_cell_angle_gamma 90.00
loop_
_atom_site_label
_atom_site_fract_x
_atom_site_fract_y
_atom_site_fract_z
Pu1 0.0000 0.0000 0.0000
Pb1 0.0000 0.5000 0.5000
Pb2 0.5000 0.0000 0.5000
Pb3 0.5000 0.5000 0.0000
```